1.
This record from Materials Project describes a relaxed structure of Li2MnCr3O8. The functional is GGA+U.

Geometry as extended XYZ:
```
14
Lattice="-0.003 3.082 -5.032 -5.214 -1.564 2.499 -1.693 2.569 5.028" Properties=species:S:1:pos:R:3 pbc="T T T"
Cr -0.849 2.826 -0.002
Cr -6.060 -0.279 5.012
Cr -0.002 1.541 -2.515
O -1.501 1.029 0.691
O -1.558 2.682 -1.895
O -5.410 3.059 1.804
O -5.353 1.405 4.390
O -4.506 0.118 1.878
O -4.560 1.770 -0.718
O -2.350 2.318 3.213
O -2.405 3.970 0.617
Li -3.457 3.585 -1.268
Li -4.303 4.869 1.246
Mn -6.910 4.087 2.495
```

formation enthalpy at 0 K	-2191	meV per atom
energy with MP2020 corrections	-8.014	eV per atom
volume	10.61	Å³/atom
space group	C2/m (12)
relative energy among the computed polymorphs	57	meV per atom

***

2.
This record from Materials Project describes a relaxed structure of LiMnP3O9. The functional is GGA+U.

Geometry as extended XYZ:
```
56
Lattice="-5.063 -0.096 -1.470 1.290 -11.564 -3.688 -3.312 -4.093 11.677" Properties=species:S:1:pos:R:3 pbc="T T T"
P -3.176 -6.374 1.979
P -5.266 -4.529 9.058
P -5.184 -5.010 3.799
P -3.527 -2.964 -2.040
P -4.664 -10.312 7.202
P -3.909 -9.379 4.541
P -0.246 -8.696 -3.118
P -1.819 -11.223 -2.538
P -4.512 -3.597 6.397
P -2.421 -5.441 -0.682
P -2.574 -12.156 0.123
P -1.902 -10.742 2.721
O -4.464 -4.629 5.182
O -3.149 -6.399 -1.598
O -3.823 -5.353 3.020
O -6.008 -6.254 4.016
O -2.621 -11.124 1.338
O -1.972 -0.583 0.775
O -3.878 -10.373 5.802
O -1.755 -6.623 2.379
O -4.079 -7.549 1.683
O -5.806 -3.794 3.162
O -1.458 -9.687 -2.764
O -5.331 -9.129 4.140
O -3.937 -9.354 8.117
O -3.901 -4.275 9.619
O -3.979 -12.460 -0.297
O -4.183 -14.020 2.463
O -1.907 -11.150 -0.936
O -5.114 -15.170 5.744
O -2.659 -3.915 -1.082
O -0.960 -5.641 -0.423
O -4.426 -11.838 7.601
O -3.106 -3.293 6.817
O -4.568 -2.264 -1.203
O 0.160 -7.969 -1.861
O -3.208 -5.380 0.717
O -1.078 -9.499 2.504
O -6.126 -10.112 6.942
O -3.006 -8.203 4.836
O -2.902 -1.733 4.056
O -5.628 -6.066 9.283
O -5.179 -4.603 7.456
O -1.279 -11.959 3.357
O -7.246 -7.784 8.380
O -2.517 -13.489 7.722
O -3.184 -11.477 -3.100
O -3.263 -10.400 3.500
Mn 0.000 0.000 0.000
Mn -1.656 -2.047 5.838
Mn -1.011 -7.828 3.995
Mn 0.645 -5.782 -1.844
Li -2.271 -7.568 7.241
Li -4.814 -8.184 -0.722
Li -6.113 -13.435 4.095
Li -0.972 -2.317 2.425
```

formation enthalpy at 0 K	-2557	meV per atom
energy with MP2020 corrections	-7.689	eV per atom
volume	14.72	Å³/atom
space group	Pbcm (57)
relative energy among the computed polymorphs	77	meV per atom

***

3.
This record from Materials Project describes a relaxed structure of NaInMo2O8. The functional is GGA+U.

Geometry as extended XYZ:
```
48
Lattice="7.285 0.000 0.000 -1.155 7.199 0.000 -0.530 -0.619 15.042" Properties=species:S:1:pos:R:3 pbc="T T T"
O 4.229 1.736 7.036
O 0.874 2.163 0.875
O 2.687 1.766 13.917
O 2.085 1.926 9.154
O -0.070 5.191 1.191
O 2.913 4.815 1.125
O -0.358 6.485 13.847
O 1.498 2.538 5.990
O 4.726 4.417 14.167
O 1.840 4.689 10.785
O 0.577 1.272 11.588
O 5.883 4.990 11.639
O -0.283 1.590 3.403
O 2.799 6.624 12.687
O 1.411 4.605 3.684
O 3.516 4.654 5.888
O 6.385 2.253 9.171
O 3.760 1.891 4.257
O 0.329 3.618 13.499
O 5.271 2.962 1.543
O 4.102 4.043 9.052
O -0.785 4.327 5.870
O 5.670 1.389 13.851
O 2.801 -0.044 2.355
O 0.351 -0.346 9.187
O 1.282 6.937 5.744
O 4.318 -0.357 9.298
O 5.023 5.308 3.454
O 4.189 1.975 11.358
O 1.371 4.844 8.006
O 5.958 0.095 1.195
O 5.249 6.926 5.855
Na 2.525 4.371 13.141
Na -0.862 4.621 9.328
Na 3.075 2.209 1.901
Na 6.462 1.959 5.714
In 0.549 1.443 13.742
In 5.051 5.137 1.300
In 4.249 1.830 9.185
In 1.351 4.750 5.857
Mo 2.958 1.470 5.755
Mo 6.588 1.704 1.719
Mo 4.121 1.129 12.951
Mo 2.642 5.111 9.287
Mo -0.988 4.876 13.323
Mo 1.479 5.452 2.091
Mo 5.070 5.311 5.254
Mo 0.530 1.270 9.788
```

formation enthalpy at 0 K	-2040	meV per atom
energy with MP2020 corrections	-7.486	eV per atom
volume	16.44	Å³/atom
space group	P-1 (2)

***

4.
This record from Materials Project describes a relaxed structure of CuMoO4. The functional is GGA+U.

Geometry as extended XYZ:
```
36
Lattice="-0.027 -6.251 1.163 8.144 0.674 0.134 -2.936 3.922 8.636" Properties=species:S:1:pos:R:3 pbc="T T T"
Cu 1.876 -0.648 6.480
Cu 4.578 0.987 5.310
Cu 1.577 -0.446 0.188
Cu 0.603 -2.641 4.624
Cu 3.305 -1.006 3.453
Cu 3.605 -1.209 9.745
O 0.737 -4.519 4.263
O 3.646 0.915 3.590
O -1.451 -2.791 5.677
O 1.535 -2.570 6.344
O 6.632 1.136 4.256
O 7.438 0.473 1.603
O 4.532 -4.709 2.159
O 1.006 -0.693 4.672
O 1.786 -4.748 1.510
O 7.147 -3.294 1.079
O -0.204 -2.033 2.955
O 5.386 0.379 6.979
O 5.258 -1.594 2.286
O 3.395 3.094 8.424
O 2.229 -0.298 1.996
O 4.445 2.865 5.670
O 2.953 -1.356 7.937
O 0.649 3.054 7.774
O -1.965 1.640 8.854
O -0.076 -0.061 7.647
O 2.340 1.219 6.507
O -2.257 -2.127 8.331
O 4.176 -0.961 5.261
O 2.842 -2.874 3.427
Mo -1.639 -0.085 8.374
Mo 3.066 -4.624 3.079
Mo 6.820 -1.569 1.559
Mo 2.116 2.970 6.855
Mo -0.035 0.112 3.292
Mo 5.217 -1.767 6.642
```

formation enthalpy at 0 K	-1577	meV per atom
energy with MP2020 corrections	-7.367	eV per atom
volume	13.37	Å³/atom
space group	P-1 (2)
relative energy among the computed polymorphs	0	meV per atom

***

5.
This record from Materials Project describes a relaxed structure of MgMnVP2O8F2. The functional is GGA+U.

Geometry as extended XYZ:
```
15
Lattice="-0.745 2.775 -4.186 -4.838 -2.585 -0.363 -0.277 5.047 5.575" Properties=species:S:1:pos:R:3 pbc="T T T"
Mn -3.025 2.732 0.373
O -4.712 0.024 -2.869
O -1.978 3.436 2.186
O -3.781 1.727 -1.331
O -4.233 -0.650 -0.411
O -1.712 5.928 1.672
O -1.286 3.568 -0.703
O -4.540 1.696 1.610
O -1.112 5.065 3.941
Mg -0.283 2.248 1.935
V -1.022 7.728 1.390
P -4.678 0.490 -1.363
P -1.132 4.711 2.403
F -4.288 4.446 0.220
F -1.495 0.906 0.889
```

formation enthalpy at 0 K	-2731	meV per atom
energy with MP2020 corrections	-7.670	eV per atom
volume	12.65	Å³/atom
space group	P1 (1)
relative energy among the computed polymorphs	69	meV per atom

***

6.
This record from Materials Project describes a relaxed structure of Li2MnOF3. The functional is GGA+U.

Geometry as extended XYZ:
```
28
Lattice="0.924 -5.724 -1.332 3.639 -1.371 7.514 -5.384 -1.416 2.349" Properties=species:S:1:pos:R:3 pbc="T T T"
Li -0.660 -5.329 3.046
Li 2.281 -3.547 3.091
Li 1.871 -7.802 7.357
Li 1.174 -4.650 -0.112
Li -0.161 -3.181 5.485
Li 2.744 -6.409 2.425
Li 3.389 -2.444 6.295
Li 1.409 -4.940 8.022
F -1.542 -6.054 4.659
F -2.100 -3.198 5.102
F 1.415 -3.291 1.260
F 0.310 -6.711 8.137
F -3.695 -2.473 1.512
F 3.147 -3.803 4.922
F 2.873 -6.037 7.019
F 1.279 -5.312 3.429
F 0.721 -2.456 3.872
F 0.080 -1.823 6.858
F -1.131 -1.799 0.394
F -0.902 -6.688 1.673
Mn 2.075 -5.674 5.224
Mn -0.614 -6.385 6.397
Mn -2.896 -2.833 3.308
Mn -0.205 -2.130 2.132
O -1.389 -3.582 2.428
O 3.584 -6.421 4.344
O 0.979 -0.673 1.838
O 0.568 -4.928 6.103
```

formation enthalpy at 0 K	-2798	meV per atom
energy with MP2020 corrections	-6.179	eV per atom
volume	10.86	Å³/atom
relative energy among the computed polymorphs	0	meV per atom